Record 1
The following is a GGA+U calculation of MgV6O5F19 after structural relaxation, from the Materials Project.

Output
Space-group type   P1
Magnetic moment   2.993 Bohr magnetons per cell
Crystal system   triclinic

POSCAR file:
```
MgV6O5F19
1.0
-5.354 0.916 -0.020
-0.148 -0.200 5.352
5.460 14.540 0.686
F V O Mg
19 6 5 1
direct
0.274 0.925 0.546
0.633 0.799 0.683
0.911 0.474 0.778
0.034 0.094 0.122
0.346 0.038 0.778
0.132 0.717 0.684
0.231 0.422 0.443
0.952 0.931 0.885
0.772 0.588 0.550
0.463 0.717 0.357
0.563 0.421 0.120
0.232 0.276 0.987
0.126 0.593 0.225
0.425 0.577 0.887
0.719 0.093 0.444
0.626 0.927 0.221
0.357 0.213 0.308
0.958 0.771 0.358
0.775 0.723 0.023
0.651 0.986 0.334
0.532 0.468 0.007
0.046 0.971 0.015
0.120 0.467 0.330
0.341 0.009 0.656
0.819 0.447 0.654
0.543 0.292 0.651
0.032 0.223 0.643
0.716 0.245 0.982
0.284 0.766 0.023
0.874 0.287 0.311
0.147 0.754 0.815
```

=====

Record 2
The following is a GGA+U calculation of MgV8O8F8 after structural relaxation, from the Materials Project.

Output
Space-group type   P1
Magnetic moment   18.000 Bohr magnetons per cell
Crystal system   triclinic

POSCAR file:
```
MgV8O8F8
1.0
2.017 -4.526 -0.529
-3.548 -0.669 -9.786
4.435 2.575 -2.471
O F V Mg
8 8 8 1
direct
0.307 0.681 0.986
0.301 0.454 0.706
0.666 0.323 0.043
0.326 0.175 0.436
0.680 0.822 0.541
0.821 0.080 0.300
0.693 0.571 0.280
0.178 0.928 0.728
0.817 0.580 0.777
0.177 0.427 0.218
0.182 0.690 0.462
0.163 0.188 0.949
0.815 0.818 0.044
0.348 0.939 0.212
0.636 0.080 0.828
0.841 0.329 0.540
0.523 0.739 0.257
0.003 0.512 0.494
0.993 0.998 0.013
0.984 0.247 0.259
0.484 0.282 0.701
0.494 0.504 0.994
0.018 0.761 0.756
0.481 0.984 0.548
0.498 0.150 0.137
```

=====

Record 3
The following is a GGA+U calculation of MgV4O6F6 after structural relaxation, from the Materials Project.

Output
Space-group type   P1
Magnetic moment   4.001 Bohr magnetons per cell
Crystal system   triclinic

POSCAR file:
```
MgV4O6F6
1.0
-3.686 -0.449 -3.599
0.646 -8.884 -2.940
-1.255 -0.500 5.019
O F V Mg
6 6 4 1
direct
0.343 0.885 0.230
0.734 0.868 0.999
0.681 0.642 0.449
0.645 0.123 0.811
0.300 0.368 0.538
0.889 0.380 0.721
0.128 0.644 0.310
0.487 0.379 0.127
0.226 0.134 0.979
0.031 0.121 0.399
0.997 0.882 0.620
0.503 0.633 0.850
0.715 0.761 0.241
0.277 0.256 0.738
0.983 0.007 0.009
0.559 0.480 0.518
0.390 0.807 0.587
```

=====

Record 4
The following is a GGA+U calculation of MgV2O2F6 after structural relaxation, from the Materials Project.

Output
Space-group type   P1
Magnetic moment   2.000 Bohr magnetons per cell
Crystal system   triclinic

POSCAR file:
```
MgV2O2F6
1.0
-3.739 -0.797 4.099
1.976 -4.737 -2.673
3.783 -0.337 3.394
V F O Mg
2 6 2 1
direct
0.600 0.645 0.749
0.370 0.331 0.265
0.241 0.023 0.110
0.495 0.720 0.420
0.716 0.461 0.052
0.038 0.269 0.424
0.742 0.996 0.868
0.959 0.712 0.667
0.536 0.324 0.554
0.302 0.499 0.935
0.917 0.356 0.757
```

=====

Record 5
The following is a GGA+U calculation of MgV4O5F7 after structural relaxation, from the Materials Project.

Output
Space-group type   P1
Magnetic moment   5.001 Bohr magnetons per cell
Crystal system   triclinic

POSCAR file:
```
MgV4O5F7
1.0
4.676 -1.118 1.711
-3.061 -4.617 5.406
0.543 -3.962 -3.584
V O F Mg
4 5 7 1
direct
0.487 0.969 0.513
0.017 0.503 0.998
0.997 0.990 0.996
0.466 0.504 0.491
0.304 0.059 0.825
0.405 0.760 0.490
0.711 0.981 0.193
0.209 0.466 0.689
0.315 0.432 0.180
0.705 0.554 0.792
0.865 0.249 0.979
0.209 0.066 0.302
0.817 0.944 0.685
0.589 0.250 0.475
0.800 0.549 0.305
0.113 0.758 0.016
0.494 0.207 0.095
```

=====

Record 6
The following is a GGA+U calculation of MgV4O5F7 after structural relaxation, from the Materials Project.

Output
Space-group type   P1
Magnetic moment   5.001 Bohr magnetons per cell
Crystal system   triclinic

POSCAR file:
```
MgV4O5F7
1.0
3.397 -0.575 -3.737
3.650 3.920 -0.738
6.722 -1.312 6.420
V F O Mg
4 7 5 1
direct
0.738 0.462 0.250
0.029 0.990 0.999
0.455 0.033 0.502
0.299 0.499 0.763
0.865 0.806 0.164
0.924 0.694 0.592
0.030 0.742 0.872
0.445 0.751 0.376
0.008 0.232 0.134
0.160 0.205 0.838
0.477 0.286 0.612
0.616 0.294 0.893
0.357 0.817 0.643
0.683 0.141 0.358
0.424 0.686 0.106
0.076 0.356 0.394
0.052 0.744 0.382
```

=====

Record 7
The following is a GGA+U calculation of MgV4O8F4 after structural relaxation, from the Materials Project.

Output
Space-group type   P1
Magnetic moment   2.000 Bohr magnetons per cell
Crystal system   triclinic

POSCAR file:
```
MgV4O8F4
1.0
2.566 1.457 -4.117
0.214 9.457 0.054
2.721 -1.338 4.248
O V Mg F
8 4 1 4
direct
0.811 0.898 0.062
0.521 0.634 0.852
0.285 0.392 0.548
0.688 0.618 0.418
0.615 0.136 0.745
0.868 0.378 0.711
0.248 0.134 0.015
0.415 0.883 0.226
0.279 0.245 0.784
0.695 0.720 0.202
0.516 0.486 0.540
0.006 0.995 0.997
0.650 0.052 0.355
0.112 0.637 0.276
0.470 0.378 0.136
0.002 0.132 0.397
0.982 0.893 0.623
```

=====

Record 8
The following is a GGA+U calculation of MgV6O5F19 after structural relaxation, from the Materials Project.

Output
Space-group type   P1
Magnetic moment   1.500 Bohr magnetons per cell
Crystal system   triclinic

POSCAR file:
```
MgV6O5F19
1.0
5.449 -0.014 -0.068
-0.016 5.164 -0.020
-2.852 -0.046 15.569
F V O Mg
19 6 5 1
direct
0.775 0.735 0.032
0.608 0.893 0.225
0.311 0.899 0.562
0.972 0.841 0.889
0.003 0.108 0.101
0.652 0.783 0.695
0.453 0.718 0.357
0.395 0.112 0.772
0.150 0.721 0.696
0.479 0.659 0.885
0.324 0.821 0.032
0.554 0.345 0.097
0.814 0.597 0.562
0.102 0.568 0.225
0.721 0.067 0.456
0.952 0.777 0.359
0.896 0.394 0.772
0.220 0.422 0.451
0.690 0.214 0.953
0.653 0.044 0.342
0.275 0.024 0.663
0.007 0.024 0.985
0.469 0.492 0.981
0.156 0.491 0.339
0.777 0.480 0.663
0.520 0.300 0.638
0.020 0.201 0.639
0.384 0.217 0.320
0.868 0.268 0.320
0.192 0.309 0.964
0.665 0.988 0.118
```

=====

Record 9
The following is a GGA+U calculation of MgV6O5F19 after structural relaxation, from the Materials Project.

Output
Space-group type   P1
Magnetic moment   2.993 Bohr magnetons per cell
Crystal system   triclinic

POSCAR file:
```
MgV6O5F19
1.0
-3.980 2.379 2.826
-1.090 -4.689 2.318
11.988 2.004 9.656
Mg F O V
1 19 5 6
direct
0.646 0.756 0.814
0.527 0.435 0.124
0.952 0.771 0.355
0.130 0.591 0.224
0.469 0.579 0.889
0.409 0.035 0.775
0.634 0.794 0.682
0.276 0.920 0.547
0.359 0.216 0.312
0.618 0.927 0.221
0.777 0.587 0.544
0.846 0.470 0.776
0.080 0.075 0.124
0.726 0.090 0.444
0.221 0.427 0.444
0.456 0.717 0.358
0.807 0.720 0.034
0.214 0.258 0.981
0.137 0.706 0.681
0.922 0.911 0.891
0.532 0.287 0.640
0.280 0.780 0.020
0.042 0.214 0.648
0.730 0.212 0.990
0.874 0.286 0.310
0.545 0.444 0.010
0.044 0.969 0.015
0.122 0.472 0.330
0.322 0.061 0.651
0.843 0.499 0.654
0.649 0.989 0.334
```

=====

Record 10
The following is a GGA+U calculation of MgV4O5F7 after structural relaxation, from the Materials Project.

Output
Space-group type   P1
Magnetic moment   4.999 Bohr magnetons per cell
Crystal system   triclinic

POSCAR file:
```
MgV4O5F7
1.0
-5.305 -0.017 -0.022
-2.667 -4.749 -0.120
0.025 -2.650 8.478
F V O Mg
7 4 5 1
direct
0.035 0.754 0.869
0.060 0.226 0.432
0.950 0.732 0.553
0.068 0.283 0.825
0.599 0.213 0.335
0.957 0.740 0.195
0.593 0.225 0.928
0.499 0.975 0.515
0.040 0.009 0.002
0.713 0.536 0.235
0.296 0.485 0.750
0.493 0.765 0.376
0.414 0.762 0.063
0.430 0.707 0.674
0.466 0.205 0.630
0.959 0.229 0.140
0.055 0.906 0.349
```

=====

Record 11
The following is a GGA+U calculation of MgV4O5F7 after structural relaxation, from the Materials Project.

Output
Space-group type   P1
Magnetic moment   5.001 Bohr magnetons per cell
Crystal system   triclinic

POSCAR file:
```
MgV4O5F7
1.0
-5.156 -0.052 -0.017
-2.626 -4.907 0.093
0.000 -3.123 8.412
V F O Mg
4 7 5 1
direct
0.476 0.018 0.509
0.282 0.507 0.753
0.017 0.999 0.990
0.736 0.464 0.267
0.505 0.770 0.372
0.477 0.276 0.617
0.029 0.744 0.872
0.999 0.265 0.118
0.929 0.763 0.581
0.897 0.781 0.176
0.070 0.267 0.808
0.053 0.260 0.416
0.555 0.258 0.928
0.424 0.767 0.666
0.551 0.231 0.316
0.426 0.771 0.090
0.453 0.095 0.152
```

=====

Record 12
The following is a GGA+U calculation of MgV8O8F8 after structural relaxation, from the Materials Project.

Output
Space-group type   P1
Magnetic moment   18.000 Bohr magnetons per cell
Crystal system   triclinic

POSCAR file:
```
MgV8O8F8
1.0
2.152 -4.402 0.308
0.127 -0.717 -10.663
5.105 2.362 -0.613
O F V Mg
8 8 8 1
direct
0.346 0.694 0.993
0.653 0.828 0.546
0.807 0.308 0.525
0.311 0.426 0.722
0.800 0.070 0.250
0.716 0.557 0.307
0.188 0.941 0.703
0.189 0.184 0.963
0.667 0.066 0.766
0.183 0.658 0.482
0.329 0.931 0.171
0.827 0.836 0.048
0.689 0.323 0.024
0.825 0.571 0.794
0.185 0.414 0.229
0.305 0.175 0.450
0.010 0.753 0.752
0.987 0.477 0.521
0.476 0.267 0.733
0.979 0.242 0.244
0.528 0.711 0.306
0.513 0.002 0.454
0.017 0.024 0.969
0.493 0.509 0.011
0.491 0.857 0.871
```

=====

Record 13
The following is a GGA+U calculation of MgV2O2F6 after structural relaxation, from the Materials Project.

Output
Space-group type   P1
Magnetic moment   2.000 Bohr magnetons per cell
Crystal system   triclinic

POSCAR file:
```
MgV2O2F6
1.0
-3.372 -2.868 -5.352
4.881 -2.082 -1.740
1.097 -2.702 5.520
V O F Mg
2 2 6 1
direct
0.086 0.942 0.008
0.395 0.437 0.976
0.180 0.236 0.916
0.245 0.717 0.016
0.857 0.831 0.065
0.556 0.211 0.904
0.655 0.469 0.308
0.277 0.041 0.369
0.388 0.642 0.717
0.792 0.975 0.657
0.546 0.937 0.719
```

=====

Record 14
The following is a GGA+U calculation of MgV8O8F8 after structural relaxation, from the Materials Project.

Output
Space-group type   P-1
Magnetic moment   18.000 Bohr magnetons per cell
Crystal system   triclinic

POSCAR file:
```
MgV8O8F8
1.0
-4.911 0.093 0.024
-0.044 4.799 -9.252
0.109 -4.837 -3.106
O V F Mg
8 8 8 1
direct
0.258 0.424 0.775
0.297 0.176 0.504
0.260 0.660 0.985
0.790 0.074 0.278
0.703 0.824 0.496
0.210 0.926 0.722
0.742 0.576 0.225
0.740 0.340 0.015
0.500 0.500 0.000
0.000 0.000 0.000
0.482 0.257 0.761
0.022 0.773 0.719
0.000 0.500 0.500
0.978 0.227 0.281
0.518 0.743 0.239
0.500 0.000 0.500
0.228 0.674 0.473
0.300 0.916 0.230
0.772 0.326 0.527
0.227 0.173 0.004
0.700 0.084 0.770
0.767 0.586 0.747
0.773 0.827 0.996
0.233 0.414 0.253
0.000 0.500 0.000
```

=====

Record 15
The following is a GGA+U calculation of MgV4O5F7 after structural relaxation, from the Materials Project.

Output
Space-group type   P1
Magnetic moment   5.003 Bohr magnetons per cell
Crystal system   triclinic

POSCAR file:
```
MgV4O5F7
1.0
3.461 3.538 -0.998
5.469 -4.730 2.737
0.441 -1.854 -5.020
F O V Mg
7 5 4 1
direct
0.689 0.568 0.800
0.292 0.435 0.192
0.382 0.753 0.501
0.678 0.945 0.180
0.299 0.072 0.804
0.638 0.252 0.492
0.905 0.245 0.967
0.100 0.764 0.000
0.776 0.541 0.293
0.199 0.060 0.328
0.791 0.976 0.686
0.200 0.442 0.676
0.017 0.973 0.015
0.505 0.510 0.487
0.006 0.510 0.987
0.507 0.992 0.497
0.015 0.213 0.595
```

=====

Number 1: E_form -2.862 eV/atom. Number 2: E_form -2.695 eV/atom. Number 3: E_form -2.783 eV/atom. Number 4: E_form -3.014 eV/atom. Number 5: E_form -2.877 eV/atom. Number 6: E_form -2.874 eV/atom. Number 7: E_form -2.610 eV/atom. Number 8: E_form -2.840 eV/atom. Number 9: E_form -2.862 eV/atom. Number 10: E_form -2.853 eV/atom. Number 11: E_form -2.863 eV/atom. Number 12: E_form -2.705 eV/atom. Number 13: E_form -3.037 eV/atom. Number 14: E_form -2.679 eV/atom. Number 15: E_form -2.857 eV/atom.